Density functional theory data (PBE+U) for a geometry-optimized MgNb4Co2O12 structure.

The calculation puts the volume at 13.226 Å³ per atom. As for the symmetry: P1, No. 1. The total magnetization comes out at 4.00 Bohr magnetons per cell. The value obtained for the energy of formation from the pure elements is -2.521 eV/atom.

abc: 5.9920 6.0184 7.4874
angles: 74.57 74.94 85.07
Closest atoms and distances in Å follow each position.
Fractional coordinates of all 19 atoms:
Mg 0.0000 0.0000 0.0000  4 O 1.95-1.98
Nb 0.2430 0.7683 0.4786  4 O 1.87-2.03
Nb 0.3489 0.6310 0.9858  4 O 1.98-2.06
Nb 0.6284 0.0263 0.6824  5 O 1.91-2.13
Nb 0.9622 0.3688 0.3018  5 O 1.91-2.09
Co 0.5342 0.0576 0.2160  4 O 2.01-2.06
Co 0.9147 0.4489 0.7757  4 O 1.95-2.06
O 0.0073 0.9932 0.4891  1 Nb 1.87
O 0.0811 0.4810 0.5002  2 Nb 2.00-2.08, 1 Co 2.01
O 0.2067 0.6052 0.7761  2 Nb 2.02-2.14, 1 Co 2.06
O 0.3046 0.3171 0.1606  2 Nb 1.99-2.09, 1 Co 2.02
O 0.3237 0.0105 0.8451  1 Nb 1.91, 1 Mg 1.98
O 0.3781 0.7743 0.1995  2 Nb 2.03-2.06, 1 Co 2.06
O 0.5345 0.8928 0.4870  2 Nb 1.98-2.06, 1 Co 2.01
O 0.6630 0.3244 0.4966  2 Nb 1.95-1.98
O 0.6710 0.6750 0.8282  1 Co 1.95, 2 Nb 1.98-2.13
O 0.7951 0.1318 0.8321  1 Nb 1.93, 1 Mg 1.95, 1 Co 2.00
O 0.8474 0.2139 0.1509  1 Nb 1.92, 1 Mg 1.95, 1 Co 2.06
O 0.9765 0.6709 0.1350  1 Nb 1.91, 1 Mg 1.97